Material: CaCr2O4
Method: DFT, PBE+U
State: relaxed

Lattice parameters (Å, degrees): 6.2319 6.2319 15.3660 90.00 90.00 120.00
Fractional positions:
Ca 0.0000 0.0000 0.0000
Ca 0.0000 0.0000 0.2429
Ca 0.3333 0.6667 0.5772
Ca 0.6667 0.3333 0.2848
Ca 0.6667 0.3333 0.6619
Ca 0.6667 0.3333 0.9108
Cr 0.0000 0.0000 0.6243
Cr 0.1671 0.3342 0.7882
Cr 0.1671 0.8329 0.7882
Cr 0.3253 0.1626 0.4573
Cr 0.3333 0.6667 0.3348
Cr 0.3333 0.6667 0.9537
Cr 0.5004 0.0008 0.1177
Cr 0.5004 0.4996 0.1177
Cr 0.6658 0.8329 0.7882
Cr 0.8374 0.1626 0.4573
Cr 0.8374 0.6747 0.4573
Cr 0.9992 0.4996 0.1177
O 0.0000 0.0000 0.3917
O 0.0000 0.0000 0.8534
O 0.0013 0.5007 0.3854
O 0.0496 0.5248 0.8636
O 0.1402 0.2803 0.5338
O 0.1402 0.8598 0.5338
O 0.1938 0.3875 0.0418
O 0.1938 0.8062 0.0418
O 0.2847 0.1424 0.7106
O 0.3333 0.6667 0.1994
O 0.3333 0.6667 0.7215
O 0.3632 0.1816 0.1846
O 0.4752 0.5248 0.8636
O 0.4752 0.9504 0.8636
O 0.4993 0.5007 0.3854
O 0.4993 0.9987 0.3854
O 0.6125 0.8062 0.0418
O 0.6667 0.3333 0.0523
O 0.6667 0.3333 0.5162
O 0.7197 0.8598 0.5338
O 0.8184 0.1816 0.1846
O 0.8184 0.6368 0.1846
O 0.8576 0.1424 0.7106
O 0.8576 0.7153 0.7106

Values from the calculation:
ΔE_f   -18.416 eV per formula unit
Space group   P3m1, No. 156
Size of the total moment   0.86 μB/atom
Offset from the most stable computed form   6.8 kJ/mol of atoms
E_tot   -7.5391 eV/atom